(1)
A plane-wave DFT calculation with PBE-GGA was carried out for a relaxed Na30Mg20Ta4Si9S27O144 crystal. Values from VASP.

Values from the calculation:
* formation energy from the elements: -2.46 eV per atom
* SG: P1, No. 1
* crystal system: triclinic

Cell and atoms, written as Quantum ESPRESSO input:
```
&SYSTEM
  ibrav = 0, nat = 234, ntyp = 6
/
ATOMIC_SPECIES
Na 22.99 Na.upf
Mg 24.30 Mg.upf
Ta 180.95 Ta.upf
Si 28.09 Si.upf
S 32.06 S.upf
O 16.00 O.upf
ATOMIC_POSITIONS crystal
Na 0.810 0.004 0.241
Na 0.005 0.639 0.243
Na 0.503 0.635 0.242
Na 0.003 0.372 0.741
Na 0.503 0.372 0.742
Na 0.181 0.011 0.753
Na 0.655 0.349 0.583
Na 0.660 0.956 0.086
Na 0.833 0.691 0.077
Na 0.008 0.338 0.082
Na 0.480 0.660 0.925
Na 0.849 0.035 0.925
Na 0.165 0.297 0.911
Na 0.665 0.300 0.909
Na 0.480 0.300 0.424
Na 0.985 0.305 0.427
Na 0.166 0.032 0.410
Na 0.665 0.032 0.410
Na 0.993 0.994 0.499
Na 0.482 0.975 0.498
Na 0.000 0.975 0.997
Na 0.482 0.990 0.999
Na 0.326 0.334 0.830
Na 0.826 0.344 0.826
Na 0.318 0.319 0.326
Na 0.822 0.336 0.329
Na 0.171 0.695 0.165
Na 0.659 0.665 0.162
Na 0.163 0.637 0.660
Na 0.665 0.663 0.666
Mg 0.005 0.000 0.349
Mg 0.500 0.999 0.349
Mg 0.005 0.997 0.849
Mg 0.502 0.005 0.847
Mg 0.335 0.347 0.681
Mg 0.833 0.336 0.683
Mg 0.331 0.323 0.184
Mg 0.831 0.323 0.181
Mg 0.337 0.332 0.988
Mg 0.846 0.346 0.989
Mg 0.336 0.339 0.489
Mg 0.840 0.342 0.488
Mg 0.168 0.682 0.019
Mg 0.662 0.665 0.021
Mg 0.164 0.657 0.521
Mg 0.664 0.666 0.519
Mg 0.171 0.678 0.313
Mg 0.666 0.666 0.313
Mg 0.168 0.659 0.814
Mg 0.669 0.660 0.810
Ta 0.004 0.018 0.646
Ta 0.501 0.008 0.647
Ta 0.008 0.998 0.147
Ta 0.499 0.989 0.149
Si 0.156 0.006 0.256
Si 0.652 0.007 0.256
Si 0.154 0.305 0.755
Si 0.654 0.302 0.755
Si 0.481 0.345 0.584
Si 0.981 0.348 0.584
Si 0.477 0.615 0.084
Si 0.982 0.622 0.086
Si 0.833 0.033 0.083
S 0.352 0.707 0.252
S 0.855 0.710 0.251
S 0.002 0.292 0.253
S 0.500 0.290 0.252
S 0.999 0.709 0.751
S 0.499 0.709 0.753
S 0.353 0.996 0.751
S 0.854 0.997 0.752
S 0.186 0.037 0.584
S 0.687 0.038 0.583
S 0.334 0.629 0.584
S 0.835 0.630 0.583
S 0.334 0.040 0.084
S 0.190 0.339 0.082
S 0.684 0.329 0.082
S 0.313 0.668 0.917
S 0.813 0.665 0.916
S 0.018 0.372 0.916
S 0.519 0.372 0.916
S 0.168 0.962 0.916
S 0.666 0.959 0.916
S 0.313 0.958 0.417
S 0.813 0.958 0.415
S 0.168 0.377 0.416
S 0.668 0.375 0.417
S 0.018 0.666 0.416
S 0.518 0.666 0.416
O 0.110 0.023 0.316
O 0.604 0.020 0.315
O 0.407 0.795 0.304
O 0.909 0.797 0.303
O 0.489 0.190 0.307
O 0.987 0.181 0.305
O 0.110 0.183 0.813
O 0.608 0.192 0.814
O 0.488 0.787 0.807
O 0.986 0.788 0.804
O 0.407 0.018 0.803
O 0.906 0.018 0.806
O 0.396 0.971 0.696
O 0.900 0.974 0.698
O 0.084 0.185 0.697
O 0.583 0.180 0.696
O 0.009 0.817 0.697
O 0.505 0.816 0.699
O 0.397 0.822 0.196
O 0.896 0.821 0.195
O 0.008 0.203 0.198
O 0.507 0.196 0.199
O 0.085 0.986 0.199
O 0.584 0.985 0.196
O 0.438 0.355 0.645
O 0.935 0.353 0.645
O 0.235 0.120 0.638
O 0.737 0.123 0.635
O 0.319 0.524 0.637
O 0.817 0.518 0.635
O 0.434 0.518 0.145
O 0.940 0.518 0.148
O 0.320 0.117 0.137
O 0.812 0.112 0.141
O 0.240 0.356 0.135
O 0.738 0.357 0.135
O 0.221 0.299 0.027
O 0.717 0.287 0.028
O 0.425 0.551 0.022
O 0.916 0.560 0.030
O 0.349 0.142 0.029
O 0.856 0.151 0.022
O 0.220 0.144 0.530
O 0.718 0.146 0.528
O 0.349 0.556 0.530
O 0.849 0.555 0.529
O 0.428 0.305 0.522
O 0.927 0.301 0.522
O 0.273 0.687 0.971
O 0.774 0.689 0.972
O 0.072 0.453 0.969
O 0.575 0.457 0.968
O 0.160 0.857 0.968
O 0.657 0.859 0.971
O 0.273 0.857 0.471
O 0.770 0.854 0.469
O 0.157 0.462 0.469
O 0.659 0.458 0.472
O 0.075 0.693 0.468
O 0.575 0.694 0.468
O 0.057 0.638 0.361
O 0.557 0.640 0.361
O 0.261 0.874 0.364
O 0.762 0.875 0.361
O 0.178 0.476 0.362
O 0.678 0.478 0.364
O 0.061 0.473 0.861
O 0.558 0.476 0.861
O 0.177 0.886 0.859
O 0.678 0.874 0.864
O 0.261 0.649 0.863
O 0.758 0.645 0.864
O 0.009 0.822 0.412
O 0.509 0.823 0.412
O 0.403 0.989 0.411
O 0.903 0.989 0.411
O 0.086 0.201 0.414
O 0.586 0.201 0.415
O 0.007 0.193 0.912
O 0.510 0.197 0.912
O 0.088 0.980 0.914
O 0.585 0.971 0.912
O 0.403 0.818 0.911
O 0.900 0.824 0.910
O 0.491 0.155 0.592
O 0.988 0.156 0.593
O 0.093 0.010 0.592
O 0.595 0.014 0.591
O 0.416 0.804 0.592
O 0.916 0.803 0.592
O 0.489 0.825 0.093
O 0.995 0.824 0.094
O 0.416 0.029 0.092
O 0.926 0.027 0.095
O 0.097 0.181 0.091
O 0.594 0.171 0.092
O 0.348 0.155 0.744
O 0.851 0.156 0.745
O 0.245 0.307 0.743
O 0.746 0.317 0.743
O 0.424 0.533 0.747
O 0.926 0.532 0.746
O 0.350 0.542 0.244
O 0.848 0.541 0.244
O 0.425 0.317 0.247
O 0.925 0.314 0.248
O 0.247 0.175 0.244
O 0.747 0.174 0.248
O 0.319 0.506 0.919
O 0.819 0.505 0.920
O 0.431 0.354 0.922
O 0.930 0.351 0.919
O 0.244 0.142 0.921
O 0.742 0.138 0.920
O 0.319 0.133 0.420
O 0.818 0.132 0.419
O 0.243 0.345 0.422
O 0.743 0.345 0.422
O 0.431 0.509 0.422
O 0.931 0.508 0.422
O 0.175 0.485 0.076
O 0.673 0.480 0.074
O 0.076 0.636 0.078
O 0.578 0.666 0.080
O 0.261 0.862 0.077
O 0.756 0.834 0.076
O 0.176 0.866 0.577
O 0.676 0.866 0.575
O 0.262 0.663 0.577
O 0.760 0.658 0.576
O 0.080 0.503 0.580
O 0.583 0.494 0.580
O 0.151 0.818 0.251
O 0.654 0.826 0.251
O 0.267 0.691 0.254
O 0.769 0.696 0.254
O 0.081 0.461 0.256
O 0.581 0.462 0.254
O 0.150 0.481 0.752
O 0.648 0.478 0.749
O 0.082 0.706 0.755
O 0.580 0.700 0.755
O 0.265 0.846 0.754
O 0.768 0.844 0.754
CELL_PARAMETERS angstrom
17.830 -0.042 0.008
-4.476 7.763 0.004
0.011 0.019 22.368
```

(2)
A plane-wave DFT calculation with PBE-GGA was carried out for a relaxed NbRu3 crystal. Values from VASP.

Values from the calculation:
* formation energy from the elements: 0.04 eV per atom
* SG: P-6m2, No. 187
* crystal system: hexagonal

Cell and atoms, written as Quantum ESPRESSO input:
```
&SYSTEM
  ibrav = 0, nat = 4, ntyp = 2
/
ATOMIC_SPECIES
Nb 92.91 Nb.upf
Ru 101.07 Ru.upf
ATOMIC_POSITIONS crystal
Nb 0.000 0.000 0.500
Ru 0.000 0.000 0.000
Ru 0.333 0.667 0.765
Ru 0.333 0.667 0.235
CELL_PARAMETERS angstrom
1.388 -2.403 0.000
1.388 2.403 0.000
0.000 0.000 9.013
```